Record 1
This record from Materials Project describes a relaxed TiAlW2O8 crystal. The functional is PBE+U.

The structure belongs to space group P2/c (No. 13); the cell edges are 5.082, 5.580 and 10.489 Å and the angles 90.00°, 118.21° and 90.00°. The asymmetric unit holds Ti at (0.000, 0.135, 0.250), Al at (0.500, 0.157, 0.750), W at (0.257, 0.345, 0.002), O at (0.205, 0.375, 0.616), O at (0.225, 0.113, 0.137), O at (0.280, 0.369, 0.379) and O at (0.288, 0.129, 0.856).

Its raw total energy is -188.83 eV/cell. Its density is 7.2 Mg/m³. The value obtained for the energy above the most stable polymorph in this dataset is 0.000 eV/atom. Its formation enthalpy at 0 K is -2.637 eV/atom.

Record 2
This record from Materials Project describes a relaxed TiAlW2O8 crystal. The functional is PBE+U.

The structure belongs to space group P1 (No. 1); the cell edges are 5.069, 5.466 and 5.677 Å and the angles 73.65°, 85.52° and 72.08°. The asymmetric unit holds Ti at (0.000, 0.000, 0.000), Al at (0.558, 0.915, 0.561), W at (0.241, 0.462, 0.812), W at (0.696, 0.501, 0.167), O at (0.085, 0.232, 0.152), O at (0.228, 0.124, 0.736), O at (0.289, 0.657, 0.066), O at (0.337, 0.726, 0.545), O at (0.618, 0.225, 0.421), O at (0.658, 0.270, 0.924), O at (0.776, 0.764, 0.283) and O at (0.816, 0.736, 0.817).

Its raw total energy is -92.94 eV/cell. Its density is 6.6 Mg/m³. The value obtained for the energy above the most stable polymorph in this dataset is 0.123 eV/atom. Its formation enthalpy at 0 K is -2.514 eV/atom.

Record 3
This record from Materials Project describes a relaxed AlV3O6 crystal. The functional is PBE+U.

The structure belongs to space group P-3m1 (No. 164); the cell edges are 5.9495, 5.9495 and 14.6855 Å and the angles 90.00°, 90.00° and 120.00°. The asymmetric unit holds Al at (0.0000, 0.0000, 0.1287), Al at (0.3333, 0.6667, 0.5442), V at (0.0000, 0.0000, 0.5000), V at (0.0000, 0.5000, 0.0000), V at (0.1707, 0.3413, 0.3313), V at (0.3333, 0.6667, 0.1720), O at (0.0000, 0.0000, 0.2522), O at (0.0369, 0.5185, 0.2586), O at (0.1631, 0.3263, 0.5826), O at (0.1684, 0.3368, 0.0863), O at (0.3333, 0.6667, 0.4219) and O at (0.3333, 0.6667, 0.9367).

Its raw total energy is -312.89 eV/cell. Its density is 4.1 Mg/m³. Its formation enthalpy at 0 K is -2.676 eV/atom.

Record 4
This record from Materials Project describes a relaxed Al2V2O7 crystal. The functional is PBE+U.

The structure belongs to space group Fd-3m (No. 227, origin choice 2); the cell edges are 9.531, 9.531 and 9.531 Å and the angles 90.00°, 90.00° and 90.00°. The asymmetric unit holds Al at (0.000, 0.000, 0.000), V at (0.000, 0.000, 0.500), O at (0.098, 0.375, 0.875) and O at (0.125, 0.125, 0.125).

Its raw total energy is -635.57 eV/cell. Its density is 4.1 Mg/m³. Its formation enthalpy at 0 K is -2.487 eV/atom.

no.,V (Å³ per cell)
1,262.14
2,143.62
3,450.18
4,865.83